No. 1
A plane-wave DFT calculation with PBE with a Hubbard U was carried out for crystalline MgNi4O8 at its relaxed geometry.

Cell and atoms, written as CIF:
```
data_MgNi4O8
_chemical_formula_sum 'Mg1 Ni4 O8'
_cell_length_a 6.867
_cell_length_b 6.867
_cell_length_c 9.125
_cell_angle_alpha 130.08
_cell_angle_beta 130.08
_cell_angle_gamma 24.43
_space_group_name_H-M_alt 'P 1'
_space_group_IT_number 1
_space_group_name_Hall 'P 1'
loop_
_atom_site_label
_atom_site_fract_x
_atom_site_fract_y
_atom_site_fract_z
_atom_site_occupancy
Mg1 0.000 0.000 0.000 1
Ni1 0.000 0.000 0.313 1
Ni2 0.203 0.203 0.021 1
Ni3 0.513 0.513 0.660 1
Ni4 0.714 0.714 0.377 1
O1 0.135 0.135 0.757 1
O2 0.192 0.192 0.491 1
O3 0.211 0.211 0.242 1
O4 0.489 0.489 0.436 1
O5 0.518 0.518 0.174 1
O6 0.556 0.556 0.908 1
O7 0.819 0.819 0.096 1
O8 0.898 0.898 0.588 1
```

Summary:
The calculation puts the energy of formation at -1047 meV per atom. As for the total energy: -62.25 eV per cell. The calculation puts the energy above the most stable polymorph in this dataset at 13.5 kJ/mol of atoms. The total magnetization is 2.005 μB/f.u.


No. 2
A plane-wave DFT calculation with PBE with a Hubbard U was carried out for crystalline LiMnS2O8 at its relaxed geometry.

Cell and atoms, written as CIF:
```
data_LiMnS2O8
_chemical_formula_sum 'Li8 Mn8 S16 O64'
_cell_length_a 9.329
_cell_length_b 9.050
_cell_length_c 13.707
_cell_angle_alpha 90.00
_cell_angle_beta 90.41
_cell_angle_gamma 90.00
_space_group_name_H-M_alt 'P 1'
_space_group_IT_number 1
_space_group_name_Hall 'P 1'
loop_
_atom_site_label
_atom_site_fract_x
_atom_site_fract_y
_atom_site_fract_z
_atom_site_occupancy
Li1 0.000 0.025 0.000 1
Li2 0.000 0.975 0.500 1
Li3 0.190 0.299 0.998 1
Li4 0.190 0.701 0.498 1
Li5 0.512 0.037 0.750 1
Li6 0.512 0.963 0.250 1
Li7 0.910 0.460 0.248 1
Li8 0.910 0.540 0.748 1
Mn1 0.099 0.145 0.751 1
Mn2 0.099 0.855 0.251 1
Mn3 0.324 0.356 0.254 1
Mn4 0.324 0.644 0.754 1
Mn5 0.599 0.143 0.999 1
Mn6 0.599 0.857 0.499 1
Mn7 0.819 0.355 0.499 1
Mn8 0.819 0.645 0.999 1
S1 0.035 0.187 0.351 1
S2 0.035 0.813 0.851 1
S3 0.124 0.437 0.616 1
S4 0.124 0.563 0.116 1
S5 0.295 0.061 0.115 1
S6 0.295 0.939 0.615 1
S7 0.390 0.316 0.851 1
S8 0.390 0.684 0.351 1
S9 0.534 0.185 0.402 1
S10 0.534 0.815 0.902 1
S11 0.622 0.436 0.132 1
S12 0.622 0.564 0.632 1
S13 0.796 0.063 0.635 1
S14 0.796 0.937 0.135 1
S15 0.888 0.315 0.898 1
S16 0.888 0.685 0.398 1
O1 0.035 0.019 0.350 1
O2 0.035 0.981 0.850 1
O3 0.155 0.473 0.209 1
O4 0.155 0.527 0.709 1
O5 0.163 0.281 0.638 1
O6 0.163 0.719 0.138 1
O7 0.184 0.240 0.348 1
O8 0.184 0.760 0.848 1
O9 0.198 0.492 0.532 1
O10 0.198 0.508 0.032 1
O11 0.212 0.014 0.030 1
O12 0.212 0.986 0.530 1
O13 0.238 0.262 0.853 1
O14 0.238 0.738 0.353 1
O15 0.258 0.220 0.135 1
O16 0.258 0.780 0.635 1
O17 0.263 0.026 0.708 1
O18 0.263 0.974 0.208 1
O19 0.391 0.480 0.847 1
O20 0.391 0.520 0.347 1
O21 0.443 0.242 0.477 1
O22 0.443 0.758 0.977 1
O23 0.444 0.279 0.954 1
O24 0.444 0.721 0.454 1
O25 0.452 0.043 0.105 1
O26 0.452 0.957 0.605 1
O27 0.467 0.451 0.148 1
O28 0.467 0.549 0.648 1
O29 0.475 0.247 0.776 1
O30 0.475 0.753 0.276 1
O31 0.476 0.215 0.298 1
O32 0.476 0.785 0.798 1
O33 0.539 0.014 0.400 1
O34 0.539 0.986 0.900 1
O35 0.654 0.473 0.542 1
O36 0.654 0.527 0.042 1
O37 0.659 0.278 0.107 1
O38 0.659 0.722 0.607 1
O39 0.683 0.239 0.403 1
O40 0.683 0.761 0.903 1
O41 0.708 0.480 0.216 1
O42 0.708 0.520 0.716 1
O43 0.716 0.012 0.718 1
O44 0.716 0.988 0.218 1
O45 0.742 0.258 0.902 1
O46 0.742 0.742 0.402 1
O47 0.759 0.219 0.613 1
O48 0.759 0.781 0.113 1
O49 0.767 0.026 0.042 1
O50 0.767 0.974 0.542 1
O51 0.889 0.481 0.901 1
O52 0.889 0.519 0.401 1
O53 0.944 0.249 0.275 1
O54 0.944 0.751 0.775 1
O55 0.947 0.282 0.796 1
O56 0.947 0.718 0.296 1
O57 0.954 0.045 0.646 1
O58 0.954 0.955 0.146 1
O59 0.964 0.452 0.607 1
O60 0.964 0.548 0.107 1
O61 0.976 0.218 0.453 1
O62 0.976 0.782 0.953 1
O63 0.982 0.251 0.973 1
O64 0.982 0.749 0.473 1
```

Summary:
The calculation puts the energy of formation at -1994 meV per atom. As for the total energy: -605.50 eV per cell. The calculation puts the energy above the most stable polymorph in this dataset at 0.1 kJ/mol of atoms. The total magnetization is 4.000 μB/f.u.


No. 3
A plane-wave DFT calculation with PBE with a Hubbard U was carried out for crystalline Li6MnB3O9 at its relaxed geometry.

Cell and atoms, written as CIF:
```
data_Li6MnB3O9
_chemical_formula_sum 'Li24 Mn4 B12 O36'
_cell_length_a 6.990
_cell_length_b 16.360
_cell_length_c 6.979
_cell_angle_alpha 90.00
_cell_angle_beta 105.29
_cell_angle_gamma 90.00
_space_group_name_H-M_alt 'P 1'
_space_group_IT_number 1
_space_group_name_Hall 'P 1'
loop_
_atom_site_label
_atom_site_fract_x
_atom_site_fract_y
_atom_site_fract_z
_atom_site_occupancy
Li1 0.041 0.048 0.169 1
Li2 0.041 0.452 0.669 1
Li3 0.103 0.710 0.050 1
Li4 0.103 0.790 0.550 1
Li5 0.184 0.539 0.046 1
Li6 0.184 0.961 0.546 1
Li7 0.231 0.201 0.880 1
Li8 0.231 0.299 0.380 1
Li9 0.355 0.051 0.917 1
Li10 0.355 0.449 0.417 1
Li11 0.438 0.007 0.330 1
Li12 0.438 0.493 0.830 1
Li13 0.562 0.507 0.170 1
Li14 0.562 0.993 0.670 1
Li15 0.645 0.551 0.583 1
Li16 0.645 0.949 0.083 1
Li17 0.769 0.701 0.620 1
Li18 0.769 0.799 0.120 1
Li19 0.816 0.039 0.454 1
Li20 0.816 0.461 0.954 1
Li21 0.897 0.210 0.450 1
Li22 0.897 0.290 0.950 1
Li23 0.959 0.548 0.331 1
Li24 0.959 0.952 0.831 1
Mn1 0.442 0.695 0.823 1
Mn2 0.442 0.805 0.323 1
Mn3 0.558 0.195 0.677 1
Mn4 0.558 0.305 0.177 1
B1 0.078 0.609 0.696 1
B2 0.078 0.891 0.196 1
B3 0.229 0.131 0.508 1
B4 0.229 0.369 0.008 1
B5 0.418 0.635 0.359 1
B6 0.418 0.865 0.859 1
B7 0.582 0.135 0.141 1
B8 0.582 0.365 0.641 1
B9 0.771 0.631 0.992 1
B10 0.771 0.869 0.492 1
B11 0.922 0.109 0.804 1
B12 0.922 0.391 0.304 1
O1 0.045 0.100 0.424 1
O2 0.045 0.400 0.924 1
O3 0.106 0.096 0.935 1
O4 0.106 0.404 0.435 1
O5 0.142 0.690 0.754 1
O6 0.142 0.810 0.254 1
O7 0.199 0.545 0.772 1
O8 0.199 0.955 0.272 1
O9 0.258 0.212 0.579 1
O10 0.258 0.288 0.079 1
O11 0.384 0.695 0.213 1
O12 0.384 0.805 0.713 1
O13 0.386 0.553 0.306 1
O14 0.386 0.947 0.806 1
O15 0.407 0.088 0.541 1
O16 0.407 0.412 0.041 1
O17 0.496 0.656 0.554 1
O18 0.496 0.844 0.054 1
O19 0.504 0.156 0.946 1
O20 0.504 0.344 0.446 1
O21 0.593 0.588 0.959 1
O22 0.593 0.912 0.459 1
O23 0.614 0.053 0.194 1
O24 0.614 0.447 0.694 1
O25 0.616 0.195 0.287 1
O26 0.616 0.305 0.787 1
O27 0.742 0.712 0.921 1
O28 0.742 0.788 0.421 1
O29 0.801 0.045 0.728 1
O30 0.801 0.455 0.228 1
O31 0.858 0.190 0.746 1
O32 0.858 0.310 0.246 1
O33 0.894 0.596 0.565 1
O34 0.894 0.904 0.065 1
O35 0.955 0.600 0.076 1
O36 0.955 0.900 0.576 1
```

Summary:
The calculation puts the energy of formation at -2493 meV per atom. As for the total energy: -498.77 eV per cell. The total magnetization is 4.000 μB/f.u.


No. 4
A plane-wave DFT calculation with PBE with a Hubbard U was carried out for crystalline Li4Ti3V6O18 at its relaxed geometry.

Cell and atoms, written as CIF:
```
data_Li4Ti3V6O18
_chemical_formula_sum 'Li8 Ti6 V12 O36'
_cell_length_a 2.987
_cell_length_b 9.012
_cell_length_c 25.357
_cell_angle_alpha 90.00
_cell_angle_beta 90.00
_cell_angle_gamma 90.00
_space_group_name_H-M_alt 'P 1'
_space_group_IT_number 1
_space_group_name_Hall 'P 1'
loop_
_atom_site_label
_atom_site_fract_x
_atom_site_fract_y
_atom_site_fract_z
_atom_site_occupancy
Li1 0.000 0.055 0.000 1
Li2 0.000 0.063 0.206 1
Li3 0.000 0.428 0.807 1
Li4 0.000 0.440 0.018 1
Li5 0.000 0.560 0.518 1
Li6 0.000 0.572 0.307 1
Li7 0.000 0.937 0.706 1
Li8 0.000 0.945 0.500 1
Ti1 0.000 0.239 0.907 1
Ti2 0.000 0.254 0.111 1
Ti3 0.000 0.746 0.611 1
Ti4 0.000 0.761 0.407 1
Ti5 0.500 0.392 0.206 1
Ti6 0.500 0.608 0.706 1
V1 0.000 0.223 0.321 1
V2 0.000 0.252 0.509 1
V3 0.000 0.273 0.699 1
V4 0.000 0.727 0.199 1
V5 0.000 0.748 0.009 1
V6 0.000 0.777 0.821 1
V7 0.500 0.103 0.595 1
V8 0.500 0.108 0.812 1
V9 0.500 0.403 0.423 1
V10 0.500 0.597 0.923 1
V11 0.500 0.892 0.312 1
V12 0.500 0.897 0.095 1
O1 0.000 0.052 0.091 1
O2 0.000 0.058 0.862 1
O3 0.000 0.165 0.767 1
O4 0.000 0.251 0.584 1
O5 0.000 0.253 0.435 1
O6 0.000 0.335 0.252 1
O7 0.000 0.439 0.157 1
O8 0.000 0.443 0.926 1
O9 0.000 0.557 0.426 1
O10 0.000 0.561 0.657 1
O11 0.000 0.665 0.752 1
O12 0.000 0.747 0.935 1
O13 0.000 0.749 0.084 1
O14 0.000 0.835 0.267 1
O15 0.000 0.942 0.362 1
O16 0.000 0.948 0.591 1
O17 0.500 0.092 0.290 1
O18 0.500 0.103 0.513 1
O19 0.500 0.146 0.672 1
O20 0.500 0.182 0.950 1
O21 0.500 0.199 0.167 1
O22 0.500 0.295 0.850 1
O23 0.500 0.315 0.068 1
O24 0.500 0.349 0.347 1
O25 0.500 0.402 0.505 1
O26 0.500 0.404 0.729 1
O27 0.500 0.596 0.229 1
O28 0.500 0.598 0.005 1
O29 0.500 0.651 0.847 1
O30 0.500 0.685 0.568 1
O31 0.500 0.705 0.350 1
O32 0.500 0.801 0.667 1
O33 0.500 0.818 0.450 1
O34 0.500 0.854 0.172 1
O35 0.500 0.897 0.013 1
O36 0.500 0.908 0.790 1
```

Summary:
The calculation puts the energy of formation at -2723 meV per atom. As for the total energy: -473.44 eV per cell. The total magnetization is 10.000 μB/f.u.


No. 5
A plane-wave DFT calculation with PBE with a Hubbard U was carried out for crystalline MgV2Cu2O12 at its relaxed geometry.

Cell and atoms, written as CIF:
```
data_MgV2Cu2O12
_chemical_formula_sum 'Mg1 V2 Cu2 O12'
_cell_length_a 6.602
_cell_length_b 6.602
_cell_length_c 7.510
_cell_angle_alpha 106.54
_cell_angle_beta 106.54
_cell_angle_gamma 49.58
_space_group_name_H-M_alt 'P 1'
_space_group_IT_number 1
_space_group_name_Hall 'P 1'
loop_
_atom_site_label
_atom_site_fract_x
_atom_site_fract_y
_atom_site_fract_z
_atom_site_occupancy
Mg1 0.000 0.000 0.000 1
V1 0.498 0.498 0.262 1
V2 0.502 0.502 0.738 1
Cu1 0.000 0.500 0.000 1
Cu2 0.500 0.000 0.000 1
O1 0.147 0.147 0.907 1
O2 0.156 0.156 0.562 1
O3 0.168 0.688 0.759 1
O4 0.312 0.832 0.241 1
O5 0.331 0.331 0.155 1
O6 0.500 0.500 0.000 1
O7 0.500 0.500 0.500 1
O8 0.669 0.669 0.845 1
O9 0.688 0.168 0.759 1
O10 0.832 0.312 0.241 1
O11 0.844 0.844 0.438 1
O12 0.853 0.853 0.093 1
```

Summary:
The calculation puts the energy of formation at -1169 meV per atom. As for the total energy: -95.57 eV per cell. The total magnetization is 6.000 μB/f.u.


No. 6
A plane-wave DFT calculation with PBE with a Hubbard U was carried out for crystalline Li9Mn2Co5O16 at its relaxed geometry.

Cell and atoms, written as CIF:
```
data_Li9Mn2Co5O16
_chemical_formula_sum 'Li9 Mn2 Co5 O16'
_cell_length_a 5.918
_cell_length_b 7.704
_cell_length_c 7.783
_cell_angle_alpha 97.46
_cell_angle_beta 112.31
_cell_angle_gamma 111.89
_space_group_name_H-M_alt 'P 1'
_space_group_IT_number 1
_space_group_name_Hall 'P 1'
loop_
_atom_site_label
_atom_site_fract_x
_atom_site_fract_y
_atom_site_fract_z
_atom_site_occupancy
Li1 0.000 0.000 0.000 1
Li2 0.000 0.249 0.747 1
Li3 0.009 0.629 0.878 1
Li4 0.009 0.879 0.627 1
Li5 0.501 0.998 0.996 1
Li6 0.989 0.371 0.116 1
Li7 0.991 0.122 0.365 1
Li8 0.997 0.751 0.244 1
Li9 0.999 0.501 0.500 1
Mn1 0.495 0.499 0.498 1
Mn2 0.504 0.877 0.625 1
Co1 0.494 0.244 0.754 1
Co2 0.496 0.373 0.118 1
Co3 0.501 0.760 0.241 1
Co4 0.502 0.125 0.363 1
Co5 0.504 0.633 0.879 1
O1 0.266 0.875 0.136 1
O2 0.267 0.504 0.003 1
O3 0.268 0.140 0.870 1
O4 0.268 0.267 0.264 1
O5 0.272 0.383 0.619 1
O6 0.279 0.998 0.505 1
O7 0.280 0.751 0.743 1
O8 0.281 0.636 0.394 1
O9 0.716 0.617 0.372 1
O10 0.718 0.376 0.614 1
O11 0.724 0.741 0.727 1
O12 0.726 0.256 0.251 1
O13 0.728 0.993 0.497 1
O14 0.731 0.109 0.848 1
O15 0.731 0.497 0.989 1
O16 0.740 0.862 0.121 1
```

Summary:
The calculation puts the energy of formation at -1829 meV per atom. As for the total energy: -186.22 eV per cell. The calculation puts the energy above the most stable polymorph in this dataset at 3.4 kJ/mol of atoms. The total magnetization is 6.000 μB/f.u.


No. 7
A plane-wave DFT calculation with PBE with a Hubbard U was carried out for crystalline Ti4NiP4O20 at its relaxed geometry.

Cell and atoms, written as CIF:
```
data_Ti4NiP4O20
_chemical_formula_sum 'Ti8 Ni2 P8 O40'
_cell_length_a 7.443
_cell_length_b 7.289
_cell_length_c 14.898
_cell_angle_alpha 90.00
_cell_angle_beta 119.56
_cell_angle_gamma 90.00
_space_group_name_H-M_alt 'P 1'
_space_group_IT_number 1
_space_group_name_Hall 'P 1'
loop_
_atom_site_label
_atom_site_fract_x
_atom_site_fract_y
_atom_site_fract_z
_atom_site_occupancy
Ti1 0.220 0.223 0.367 1
Ti2 0.220 0.277 0.867 1
Ti3 0.238 0.746 0.120 1
Ti4 0.238 0.754 0.620 1
Ti5 0.762 0.246 0.380 1
Ti6 0.762 0.254 0.880 1
Ti7 0.780 0.723 0.133 1
Ti8 0.780 0.777 0.633 1
Ni1 0.500 0.000 0.000 1
Ni2 0.500 0.500 0.500 1
P1 0.006 0.623 0.380 1
P2 0.006 0.877 0.880 1
P3 0.497 0.632 0.871 1
P4 0.497 0.868 0.371 1
P5 0.503 0.132 0.629 1
P6 0.503 0.368 0.129 1
P7 0.994 0.123 0.120 1
P8 0.994 0.377 0.620 1
O1 0.005 0.675 0.123 1
O2 0.005 0.825 0.623 1
O3 0.088 0.235 0.222 1
O4 0.088 0.265 0.722 1
O5 0.094 0.743 0.970 1
O6 0.094 0.757 0.470 1
O7 0.164 0.003 0.122 1
O8 0.164 0.497 0.622 1
O9 0.187 0.501 0.387 1
O10 0.187 0.999 0.887 1
O11 0.322 0.520 0.874 1
O12 0.322 0.980 0.374 1
O13 0.336 0.503 0.119 1
O14 0.336 0.997 0.619 1
O15 0.404 0.236 0.035 1
O16 0.404 0.264 0.535 1
O17 0.415 0.743 0.771 1
O18 0.415 0.757 0.271 1
O19 0.495 0.650 0.597 1
O20 0.495 0.850 0.097 1
O21 0.505 0.150 0.903 1
O22 0.505 0.350 0.403 1
O23 0.585 0.243 0.729 1
O24 0.585 0.257 0.229 1
O25 0.596 0.736 0.465 1
O26 0.596 0.764 0.965 1
O27 0.664 0.003 0.381 1
O28 0.664 0.497 0.881 1
O29 0.678 0.020 0.626 1
O30 0.678 0.480 0.126 1
O31 0.813 0.001 0.113 1
O32 0.813 0.499 0.613 1
O33 0.836 0.503 0.378 1
O34 0.836 0.997 0.878 1
O35 0.906 0.243 0.530 1
O36 0.906 0.257 0.030 1
O37 0.912 0.735 0.278 1
O38 0.912 0.765 0.778 1
O39 0.995 0.175 0.377 1
O40 0.995 0.325 0.877 1
```

Summary:
The calculation puts the energy of formation at -2812 meV per atom. As for the total energy: -446.49 eV per cell. The total magnetization is 2.000 μB/f.u.